The following is a PBE calculation of KLiB4O7 after structural relaxation, from the Materials Project database.

Summary:
- symmetry = P2_12_12_1 (19)
- total energy (eV per formula unit) = -95.93
- total magnetic moment (μB per cell) = 0.003

Cell lengths 8.594, 11.382, 12.796 Å; angles 90.00, 90.00, 90.00 degrees
Fractional coordinates of all 104 atoms:
K: 0.139 0.047 0.098
K: 0.185 0.624 0.695
K: 0.315 0.376 0.195
K: 0.361 0.953 0.598
K: 0.639 0.453 0.902
K: 0.685 0.876 0.305
K: 0.815 0.124 0.805
K: 0.861 0.547 0.402
Li: 0.070 0.146 0.380
Li: 0.242 0.328 0.702
Li: 0.258 0.672 0.202
Li: 0.430 0.854 0.880
Li: 0.570 0.354 0.620
Li: 0.742 0.172 0.298
Li: 0.758 0.828 0.798
Li: 0.930 0.646 0.120
B: 0.002 0.887 0.463
B: 0.016 0.368 0.842
B: 0.057 0.753 0.310
B: 0.088 0.895 0.842
B: 0.106 0.365 0.511
B: 0.158 0.770 0.995
B: 0.211 0.485 0.933
B: 0.218 0.930 0.336
B: 0.282 0.070 0.836
B: 0.289 0.515 0.433
B: 0.342 0.230 0.495
B: 0.394 0.635 0.011
B: 0.412 0.105 0.342
B: 0.443 0.247 0.810
B: 0.484 0.632 0.342
B: 0.498 0.113 0.963
B: 0.502 0.613 0.537
B: 0.516 0.132 0.158
B: 0.557 0.747 0.690
B: 0.588 0.605 0.158
B: 0.606 0.135 0.489
B: 0.658 0.730 0.005
B: 0.711 0.015 0.067
B: 0.718 0.570 0.664
B: 0.782 0.430 0.164
B: 0.789 0.985 0.567
B: 0.842 0.270 0.505
B: 0.894 0.865 0.989
B: 0.912 0.395 0.658
B: 0.943 0.253 0.190
B: 0.984 0.868 0.658
B: 0.998 0.387 0.037
O: 0.011 0.785 0.037
O: 0.032 0.658 0.252
O: 0.034 0.287 0.106
O: 0.035 0.822 0.751
O: 0.040 0.436 0.594
O: 0.057 0.843 0.566
O: 0.126 0.964 0.419
O: 0.140 0.459 0.026
O: 0.152 0.437 0.839
O: 0.165 0.442 0.424
O: 0.168 0.000 0.795
O: 0.192 0.823 0.286
O: 0.201 0.821 0.902
O: 0.238 0.295 0.553
O: 0.262 0.705 0.053
O: 0.299 0.179 0.402
O: 0.308 0.177 0.786
O: 0.332 0.000 0.295
O: 0.335 0.558 0.924
O: 0.348 0.563 0.339
O: 0.360 0.541 0.526
O: 0.374 0.036 0.919
O: 0.443 0.157 0.066
O: 0.460 0.564 0.094
O: 0.465 0.178 0.251
O: 0.466 0.713 0.606
O: 0.468 0.342 0.752
O: 0.489 0.215 0.537
O: 0.511 0.715 0.963
O: 0.532 0.842 0.748
O: 0.534 0.213 0.894
O: 0.535 0.678 0.249
O: 0.540 0.064 0.406
O: 0.557 0.657 0.434
O: 0.626 0.536 0.581
O: 0.640 0.041 0.974
O: 0.652 0.063 0.161
O: 0.665 0.058 0.576
O: 0.668 0.500 0.205
O: 0.692 0.677 0.714
O: 0.701 0.679 0.098
O: 0.738 0.205 0.447
O: 0.762 0.795 0.947
O: 0.799 0.321 0.598
O: 0.808 0.323 0.214
O: 0.832 0.500 0.705
O: 0.835 0.942 0.076
O: 0.848 0.937 0.661
O: 0.860 0.959 0.474
O: 0.874 0.464 0.081
O: 0.943 0.343 0.934
O: 0.960 0.936 0.906
O: 0.965 0.322 0.749
O: 0.966 0.787 0.394
O: 0.968 0.158 0.248
O: 0.989 0.285 0.463